Entry 1:
DFT (r2SCAN) results for Ag3O4 after structural relaxation.

Results
The total magnetization comes out at 0.0 Bohr magnetons per cell. As for the final energy: -12.6828 eV/atom. For the volume, the calculation gives 13.0 Å³/atom.

The structure in CIF format:
```
data_Ag3O4
_chemical_formula_sum 'Ag6 O8'
_space_group_name_H-M_alt 'P 1 21/c 1'
_space_group_IT_number 14
_cell_length_a 3.601
_cell_length_b 9.232
_cell_length_c 5.676
_cell_angle_alpha 90.00
_cell_angle_beta 104.60
_cell_angle_gamma 90.00
loop_
_space_group_symop_operation_xyz
'x,y,z'
'-x,-y,-z'
'-x,y+1/2,-z+1/2'
'x,-y+1/2,z+1/2'
loop_
_atom_site_label
_atom_site_type_symbol
_atom_site_fract_x
_atom_site_fract_y
_atom_site_fract_z
_atom_site_occupancy
Ag1 Ag 0.000 0.000 0.000 1
Ag2 Ag 0.287 0.142 0.549 1
O1 O 0.046 0.191 0.831 1
O2 O 0.475 0.045 0.273 1
```

=====

Entry 2:
DFT (r2SCAN) results for TaAgP4O13 after structural relaxation.

Results
The total magnetization comes out at 0.0 Bohr magnetons per cell. As for the final energy: -11.9788 eV/atom. For the volume, the calculation gives 13.4 Å³/atom.

The structure in CIF format:
```
data_TaAgP4O13
_chemical_formula_sum 'Ta4 Ag4 P16 O52'
_space_group_name_H-M_alt 'P 21 21 21'
_space_group_IT_number 19
_cell_length_a 7.100
_cell_length_b 8.291
_cell_length_c 17.334
_cell_angle_alpha 90.00
_cell_angle_beta 90.00
_cell_angle_gamma 90.00
loop_
_space_group_symop_operation_xyz
'x,y,z'
'-x+1/2,-y,z+1/2'
'x+1/2,-y+1/2,-z'
'-x,y+1/2,-z+1/2'
loop_
_atom_site_label
_atom_site_type_symbol
_atom_site_fract_x
_atom_site_fract_y
_atom_site_fract_z
_atom_site_occupancy
Ta1 Ta 0.232 0.227 0.284 1
Ag1 Ag 0.202 0.780 0.522 1
P1 P 0.068 0.187 0.576 1
P2 P 0.086 0.605 0.077 1
P3 P 0.101 0.601 0.339 1
P4 P 0.102 0.149 0.831 1
O1 O 0.008 0.717 0.009 1
O2 O 0.019 0.166 0.352 1
O3 O 0.075 0.432 0.061 1
O4 O 0.076 0.699 0.714 1
O5 O 0.079 0.140 0.915 1
O6 O 0.083 0.172 0.194 1
O7 O 0.101 0.725 0.873 1
O8 O 0.113 0.584 0.422 1
O9 O 0.134 0.446 0.291 1
O10 O 0.162 0.032 0.587 1
O11 O 0.171 0.993 0.791 1
O12 O 0.202 0.339 0.587 1
O13 O 0.246 0.281 0.802 1
```

=====

Entry 3:
DFT (r2SCAN) results for RbAgO2 after structural relaxation.

Results
The total magnetization comes out at 0.0 Bohr magnetons per cell. As for the final energy: -12.5741 eV/atom. For the volume, the calculation gives 21.9 Å³/atom.

The structure in CIF format:
```
data_RbAgO2
_chemical_formula_sum 'Rb4 Ag4 O8'
_space_group_name_H-M_alt 'C 1 2/c 1'
_space_group_IT_number 15
_cell_length_a 6.948
_cell_length_b 9.145
_cell_length_c 5.813
_cell_angle_alpha 90.00
_cell_angle_beta 108.38
_cell_angle_gamma 90.00
loop_
_space_group_symop_operation_xyz
'x,y,z'
'-x,-y,-z'
'-x,y,-z+1/2'
'x,-y,z+1/2'
'x+1/2,y+1/2,z'
'-x+1/2,-y+1/2,-z'
'-x+1/2,y+1/2,-z+1/2'
'x+1/2,-y+1/2,z+1/2'
loop_
_atom_site_label
_atom_site_type_symbol
_atom_site_fract_x
_atom_site_fract_y
_atom_site_fract_z
_atom_site_occupancy
Rb1 Rb 0.000 0.147 0.250 1
Ag1 Ag 0.000 0.500 0.000 1
O1 O 0.199 0.454 0.325 1
```

=====

Entry 4:
DFT (r2SCAN) results for AgRuO4 after structural relaxation.

Results
The total magnetization comes out at 0.0 Bohr magnetons per cell. As for the final energy: -12.4521 eV/atom. For the volume, the calculation gives 12.7 Å³/atom.

The structure in CIF format:
```
data_AgRuO4
_chemical_formula_sum 'Ag4 Ru4 O16'
_space_group_name_H-M_alt 'I 41/a'
_space_group_IT_number 88
_cell_length_a 5.130
_cell_length_b 5.130
_cell_length_c 11.628
_cell_angle_alpha 90.00
_cell_angle_beta 90.00
_cell_angle_gamma 90.00
loop_
_space_group_symop_operation_xyz
'x,y,z'
'-x,-y,-z'
'-y+3/4,x+1/4,z+1/4'
'y+3/4,-x+1/4,-z+1/4'
'-x+1/2,-y,z+1/2'
'x+1/2,y,-z+1/2'
'y+3/4,-x+3/4,z+3/4'
'-y+3/4,x+3/4,-z+3/4'
'x+1/2,y+1/2,z+1/2'
'-x+1/2,-y+1/2,-z+1/2'
'-y+1/4,x+3/4,z+3/4'
'y+1/4,-x+3/4,-z+3/4'
'-x,-y+1/2,z'
'x,y+1/2,-z'
'y+1/4,-x+1/4,z+1/4'
'-y+1/4,x+1/4,-z+1/4'
loop_
_atom_site_label
_atom_site_type_symbol
_atom_site_fract_x
_atom_site_fract_y
_atom_site_fract_z
_atom_site_occupancy
Ag1 Ag 0.000 0.250 0.125 1
Ru1 Ru 0.000 0.250 0.625 1
O1 O 0.153 0.006 0.706 1
```

=====

Entry 5:
DFT (r2SCAN) results for Ag2S2O7 after structural relaxation.

Results
The total magnetization comes out at 0.0 Bohr magnetons per cell. As for the final energy: -10.2389 eV/atom. For the volume, the calculation gives 12.9 Å³/atom.

The structure in CIF format:
```
data_Ag2S2O7
_chemical_formula_sum 'Ag4 S4 O14'
_space_group_name_H-M_alt 'P -1'
_space_group_IT_number 2
_cell_length_a 6.749
_cell_length_b 6.807
_cell_length_c 6.908
_cell_angle_alpha 87.05
_cell_angle_beta 63.54
_cell_angle_gamma 85.09
loop_
_space_group_symop_operation_xyz
'x,y,z'
'-x,-y,-z'
loop_
_atom_site_label
_atom_site_type_symbol
_atom_site_fract_x
_atom_site_fract_y
_atom_site_fract_z
_atom_site_occupancy
Ag1 Ag 0.202 0.381 0.288 1
Ag2 Ag 0.205 0.871 0.930 1
S1 S 0.290 0.377 0.776 1
S2 S 0.300 0.876 0.379 1
O1 O 0.141 0.900 0.602 1
O2 O 0.162 0.441 0.661 1
O3 O 0.181 0.241 0.956 1
O4 O 0.238 0.751 0.255 1
O5 O 0.384 0.533 0.836 1
O6 O 0.393 0.056 0.265 1
O7 O 0.494 0.249 0.591 1
```

=====

Entry 6:
DFT (r2SCAN) results for Ag3SbO4 after structural relaxation.

Results
The total magnetization comes out at 0.0 Bohr magnetons per cell. As for the final energy: -15.0089 eV/atom. For the volume, the calculation gives 13.9 Å³/atom.

The structure in CIF format:
```
data_Ag3SbO4
_chemical_formula_sum 'Ag12 Sb4 O16'
_space_group_name_H-M_alt 'P 41 2 2'
_space_group_IT_number 91
_cell_length_a 7.153
_cell_length_b 7.153
_cell_length_c 8.716
_cell_angle_alpha 90.00
_cell_angle_beta 90.00
_cell_angle_gamma 90.00
loop_
_space_group_symop_operation_xyz
'x,y,z'
'-y,x,z+1/4'
'-x,-y,z+1/2'
'y,-x,z+3/4'
'x,-y,-z+1/2'
'-y,-x,-z+1/4'
'-x,y,-z'
'y,x,-z+3/4'
loop_
_atom_site_label
_atom_site_type_symbol
_atom_site_fract_x
_atom_site_fract_y
_atom_site_fract_z
_atom_site_occupancy
Ag1 Ag 0.000 0.180 0.000 1
Ag2 Ag 0.000 0.262 0.500 1
Ag3 Ag 0.201 0.500 0.250 1
Sb1 Sb 0.279 0.500 0.750 1
O1 O 0.086 0.304 0.734 1
O2 O 0.304 0.484 0.980 1
```

=====

Entry 7:
DFT (r2SCAN) results for ScAgO2 after structural relaxation.

Results
The total magnetization comes out at 0.0 Bohr magnetons per cell. As for the final energy: -13.6777 eV/atom. For the volume, the calculation gives 13.9 Å³/atom.

The structure in CIF format:
```
data_ScAgO2
_chemical_formula_sum 'Sc3 Ag3 O6'
_space_group_name_H-M_alt 'R -3 m'
_space_group_IT_number 166
_space_group_name_Hall '-R 3 2"'
_cell_length_a 3.2132
_cell_length_b 3.2132
_cell_length_c 18.6041
_cell_angle_alpha 90.00
_cell_angle_beta 90.00
_cell_angle_gamma 120.00
loop_
_atom_site_label
_atom_site_type_symbol
_atom_site_fract_x
_atom_site_fract_y
_atom_site_fract_z
_atom_site_occupancy
Sc1 Sc 0.0000 0.0000 0.0000 1
Ag1 Ag 0.0000 0.0000 0.5000 1
O1 O 0.0000 0.0000 0.3886 1
```

=====

Entry 8:
DFT (r2SCAN) results for ScAgO2 after structural relaxation.

Results
The total magnetization comes out at 0.0 Bohr magnetons per cell. As for the final energy: -13.6778 eV/atom. For the volume, the calculation gives 13.9 Å³/atom.

The structure in CIF format:
```
data_ScAgO2
_chemical_formula_sum 'Sc2 Ag2 O4'
_space_group_name_H-M_alt 'P 63/m m c'
_space_group_IT_number 194
_space_group_name_Hall '-P 6c 2c'
_cell_length_a 3.2114
_cell_length_b 3.2114
_cell_length_c 12.4093
_cell_angle_alpha 90.00
_cell_angle_beta 90.00
_cell_angle_gamma 120.00
loop_
_atom_site_label
_atom_site_type_symbol
_atom_site_fract_x
_atom_site_fract_y
_atom_site_fract_z
_atom_site_occupancy
Sc1 Sc 0.0000 0.0000 0.0000 1
Ag1 Ag 0.3333 0.6667 0.2500 1
O1 O 0.3333 0.6667 0.0829 1
```

=====

Entry 9:
DFT (r2SCAN) results for SiAg4O4 after structural relaxation.

Results
The total magnetization comes out at 0.0 Bohr magnetons per cell. As for the final energy: -14.2472 eV/atom. For the volume, the calculation gives 14.5 Å³/atom.

The structure in CIF format:
```
data_SiAg4O4
_chemical_formula_sum 'Si2 Ag8 O8'
_space_group_name_H-M_alt 'P 42/n'
_space_group_IT_number 86
_cell_length_a 7.422
_cell_length_b 7.422
_cell_length_c 4.733
_cell_angle_alpha 90.00
_cell_angle_beta 90.00
_cell_angle_gamma 90.00
loop_
_space_group_symop_operation_xyz
'x,y,z'
'-x,-y,-z'
'-y,x+1/2,z+1/2'
'y,-x+1/2,-z+1/2'
'-x+1/2,-y+1/2,z'
'x+1/2,y+1/2,-z'
'y+1/2,-x,z+1/2'
'-y+1/2,x,-z+1/2'
loop_
_atom_site_label
_atom_site_type_symbol
_atom_site_fract_x
_atom_site_fract_y
_atom_site_fract_z
_atom_site_occupancy
Si1 Si 0.250 0.250 0.250 1
Ag1 Ag 0.074 0.639 0.208 1
O1 O 0.079 0.187 0.054 1
```

=====

Entry 10:
DFT (r2SCAN) results for Ag2SnO3 after structural relaxation.

Results
The total magnetization comes out at 0.0 Bohr magnetons per cell. As for the final energy: -15.2338 eV/atom. For the volume, the calculation gives 14.7 Å³/atom.

The structure in CIF format:
```
data_Ag2SnO3
_chemical_formula_sum 'Ag8 Sn4 O12'
_space_group_name_H-M_alt 'P 63 2 2'
_space_group_IT_number 182
_space_group_name_Hall 'P 6c 2c'
_cell_length_a 5.6614
_cell_length_b 5.6614
_cell_length_c 12.7298
_cell_angle_alpha 90.00
_cell_angle_beta 90.00
_cell_angle_gamma 120.00
loop_
_atom_site_label
_atom_site_type_symbol
_atom_site_fract_x
_atom_site_fract_y
_atom_site_fract_z
_atom_site_occupancy
Ag1 Ag 0.0000 0.3213 0.0000 1
Ag2 Ag 0.3333 0.6667 0.7500 1
Sn1 Sn 0.0000 0.0000 0.2500 1
Sn2 Sn 0.3333 0.6667 0.2500 1
O1 O 0.0539 0.3338 0.1620 1
```

=====

Entry 11:
DFT (r2SCAN) results for SrAg6O4 after structural relaxation.

Results
The total magnetization comes out at 0.0 Bohr magnetons per cell. As for the final energy: -15.9158 eV/atom. For the volume, the calculation gives 16.5 Å³/atom.

The structure in CIF format:
```
data_SrAg6O4
_chemical_formula_sum 'Sr4 Ag24 O16'
_space_group_name_H-M_alt 'P n n a'
_space_group_IT_number 52
_cell_length_a 6.505
_cell_length_b 12.470
_cell_length_c 8.934
_cell_angle_alpha 90.00
_cell_angle_beta 90.00
_cell_angle_gamma 90.00
loop_
_space_group_symop_operation_xyz
'x,y,z'
'-x,-y,-z'
'-x+1/2,-y,z'
'x+1/2,y,-z'
'x,-y+1/2,-z+1/2'
'-x,y+1/2,z+1/2'
'-x+1/2,y+1/2,-z+1/2'
'x+1/2,-y+1/2,z+1/2'
loop_
_atom_site_label
_atom_site_type_symbol
_atom_site_fract_x
_atom_site_fract_y
_atom_site_fract_z
_atom_site_occupancy
Sr1 Sr 0.250 0.000 0.118 1
Ag1 Ag 0.000 0.000 0.500 1
Ag2 Ag 0.077 0.239 0.460 1
Ag3 Ag 0.093 0.750 0.250 1
Ag4 Ag 0.208 0.621 0.736 1
O1 O 0.046 0.120 0.917 1
O2 O 0.091 0.103 0.327 1
```

=====

Entry 12:
DFT (r2SCAN) results for TcAgO4 after structural relaxation.

Results
The total magnetization comes out at 0.0 Bohr magnetons per cell. As for the final energy: -13.1372 eV/atom. For the volume, the calculation gives 13.4 Å³/atom.

The structure in CIF format:
```
data_TcAgO4
_chemical_formula_sum 'Tc4 Ag4 O16'
_space_group_name_H-M_alt 'I 41/a'
_space_group_IT_number 88
_cell_length_a 5.289
_cell_length_b 5.289
_cell_length_c 11.514
_cell_angle_alpha 90.00
_cell_angle_beta 90.00
_cell_angle_gamma 90.00
loop_
_space_group_symop_operation_xyz
'x,y,z'
'-x,-y,-z'
'-y+3/4,x+1/4,z+1/4'
'y+3/4,-x+1/4,-z+1/4'
'-x+1/2,-y,z+1/2'
'x+1/2,y,-z+1/2'
'y+3/4,-x+3/4,z+3/4'
'-y+3/4,x+3/4,-z+3/4'
'x+1/2,y+1/2,z+1/2'
'-x+1/2,-y+1/2,-z+1/2'
'-y+1/4,x+3/4,z+3/4'
'y+1/4,-x+3/4,-z+3/4'
'-x,-y+1/2,z'
'x,y+1/2,-z'
'y+1/4,-x+1/4,z+1/4'
'-y+1/4,x+1/4,-z+1/4'
loop_
_atom_site_label
_atom_site_type_symbol
_atom_site_fract_x
_atom_site_fract_y
_atom_site_fract_z
_atom_site_occupancy
Tc1 Tc 0.000 0.250 0.125 1
Ag1 Ag 0.000 0.250 0.625 1
O1 O 0.135 0.483 0.209 1
```

=====

Entry 13:
DFT (r2SCAN) results for Ag4TeO5 after structural relaxation.

Results
The total magnetization comes out at 0.0 Bohr magnetons per cell. As for the final energy: -14.6383 eV/atom. For the volume, the calculation gives 13.7 Å³/atom.

The structure in CIF format:
```
data_Ag4TeO5
_chemical_formula_sum 'Ag32 Te8 O40'
_space_group_name_H-M_alt 'C 1 2/c 1'
_space_group_IT_number 15
_cell_length_a 16.005
_cell_length_b 6.254
_cell_length_c 11.322
_cell_angle_alpha 90.00
_cell_angle_beta 105.06
_cell_angle_gamma 90.00
loop_
_space_group_symop_operation_xyz
'x,y,z'
'-x,-y,-z'
'-x,y,-z+1/2'
'x,-y,z+1/2'
'x+1/2,y+1/2,z'
'-x+1/2,-y+1/2,-z'
'-x+1/2,y+1/2,-z+1/2'
'x+1/2,-y+1/2,z+1/2'
loop_
_atom_site_label
_atom_site_type_symbol
_atom_site_fract_x
_atom_site_fract_y
_atom_site_fract_z
_atom_site_occupancy
Ag1 Ag 0.000 0.083 0.250 1
Ag2 Ag 0.063 0.231 0.028 1
Ag3 Ag 0.091 0.366 0.755 1
Ag4 Ag 0.202 0.099 0.230 1
Ag5 Ag 0.250 0.250 0.000 1
Te1 Te 0.150 0.277 0.495 1
O1 O 0.058 0.437 0.393 1
O2 O 0.088 0.151 0.600 1
O3 O 0.124 0.033 0.389 1
O4 O 0.182 0.482 0.103 1
O5 O 0.240 0.369 0.407 1
```